No. 1
# AgAsO3 (PBE-GGA, optimized geometry)
data_AgAsO3
_cell_length_a 7.779
_cell_length_b 7.779
_cell_length_c 5.158
_cell_angle_alpha 98.85
_cell_angle_beta 98.85
_cell_angle_gamma 88.23
_space_group_name_H-M_alt 'P 1'
_space_group_IT_number 1
_space_group_name_Hall 'P 1'
loop_
_atom_site_label
_atom_site_type_symbol
_atom_site_fract_x
_atom_site_fract_y
_atom_site_fract_z
Ag1 Ag 0.096 0.904 0.750
Ag2 Ag 0.274 0.726 0.250
Ag3 Ag 0.726 0.274 0.750
Ag4 Ag 0.904 0.096 0.250
As1 As 0.201 0.378 0.729
As2 As 0.378 0.201 0.229
As3 As 0.622 0.799 0.771
As4 As 0.799 0.622 0.271
O1 O 0.046 0.224 0.673
O2 O 0.151 0.585 0.842
O3 O 0.224 0.046 0.173
O4 O 0.304 0.389 0.441
O5 O 0.389 0.304 0.941
O6 O 0.415 0.849 0.658
O7 O 0.585 0.151 0.342
O8 O 0.611 0.696 0.059
O9 O 0.696 0.611 0.559
O10 O 0.776 0.954 0.827
O11 O 0.849 0.415 0.158
O12 O 0.954 0.776 0.327
# Total magnetization in μB/f.u.: 0.000
# Corrected total energy (MP2020 scheme) in eV for the cell shown: -114.077
# Final energy in eV/cell: -105.83
# Symmetry: No. 15
# ΔE_f in kJ per mole of atoms: -119.33

No. 2
# Ag3As2O8 (PBE-GGA, optimized geometry)
data_Ag3As2O8
_cell_length_a 5.972
_cell_length_b 5.972
_cell_length_c 5.972
_cell_angle_alpha 88.18
_cell_angle_beta 88.18
_cell_angle_gamma 88.18
_space_group_name_H-M_alt 'P 1'
_space_group_IT_number 1
_space_group_name_Hall 'P 1'
loop_
_atom_site_label
_atom_site_type_symbol
_atom_site_fract_x
_atom_site_fract_y
_atom_site_fract_z
Ag1 Ag 0.003 0.743 0.255
Ag2 Ag 0.255 0.003 0.743
Ag3 Ag 0.743 0.255 0.003
As1 As 0.242 0.242 0.242
As2 As 0.747 0.747 0.747
O1 O 0.051 0.404 0.390
O2 O 0.068 0.068 0.068
O3 O 0.390 0.051 0.404
O4 O 0.404 0.390 0.051
O5 O 0.588 0.956 0.889
O6 O 0.591 0.591 0.591
O7 O 0.889 0.588 0.956
O8 O 0.956 0.889 0.588
# Total magnetization in μB/f.u.: 0.572
# Corrected total energy (MP2020 scheme) in eV for the cell shown: -70.735
# Final energy in eV/cell: -65.24
# Symmetry: No. 146
# ΔE_f in kJ per mole of atoms: -98.98

No. 3
# AgAsO3 (PBE-GGA, optimized geometry)
data_AgAsO3
_cell_length_a 6.450
_cell_length_b 6.450
_cell_length_c 6.450
_cell_angle_alpha 45.65
_cell_angle_beta 45.65
_cell_angle_gamma 45.65
_space_group_name_H-M_alt 'P 1'
_space_group_IT_number 1
_space_group_name_Hall 'P 1'
loop_
_atom_site_label
_atom_site_type_symbol
_atom_site_fract_x
_atom_site_fract_y
_atom_site_fract_z
Ag1 Ag 0.144 0.144 0.144
Ag2 Ag 0.856 0.856 0.856
As1 As 0.336 0.336 0.336
As2 As 0.664 0.664 0.664
O1 O 0.057 0.678 0.449
O2 O 0.322 0.551 0.943
O3 O 0.449 0.057 0.678
O4 O 0.551 0.943 0.322
O5 O 0.678 0.449 0.057
O6 O 0.943 0.322 0.551
# Corrected total energy (MP2020 scheme) in eV for the cell shown: -57.411
# Final energy in eV/cell: -53.29
# Symmetry: No. 148
# ΔE_f in kJ per mole of atoms: -122.92

Question: final energy of number 1 (AgAsO3)?
Answer: -105.83 eV/cell